# 1
DFT (r2SCAN) results for PrAs after structural relaxation.

* DFT formation energy: -3.520 eV per formula unit

```
data_PrAs
_chemical_formula_sum 'Pr1 As1'
_symmetry_space_group_name_H-M 'P 1'
_symmetry_Int_Tables_number 1
_cell_length_a 4.3108
_cell_length_b 4.3108
_cell_length_c 4.3108
_cell_angle_alpha 60.00
_cell_angle_beta 60.00
_cell_angle_gamma 60.00
loop_
_symmetry_equiv_pos_as_xyz
'x,y,z'
loop_
_atom_site_label
_atom_site_fract_x
_atom_site_fract_y
_atom_site_fract_z
Pr1 0.5000 0.5000 0.5000
As1 0.0000 0.0000 0.0000
```

# 2
DFT (r2SCAN) results for PrAs2Rh2 after structural relaxation.

* DFT formation energy: -5.120 eV per formula unit

```
data_PrAs2Rh2
_chemical_formula_sum 'Pr2 As4 Rh4'
_symmetry_space_group_name_H-M 'P 1'
_symmetry_Int_Tables_number 1
_cell_length_a 4.3096
_cell_length_b 4.3096
_cell_length_c 9.8916
_cell_angle_alpha 90.00
_cell_angle_beta 90.00
_cell_angle_gamma 90.00
loop_
_symmetry_equiv_pos_as_xyz
'x,y,z'
loop_
_atom_site_label
_atom_site_fract_x
_atom_site_fract_y
_atom_site_fract_z
As1 0.2500 0.2500 0.1354
As2 0.7500 0.2500 0.5000
As3 0.7500 0.7500 0.8646
Rh1 0.7500 0.7500 0.6172
Rh2 0.7500 0.2500 0.0000
Rh3 0.2500 0.2500 0.3828
Pr1 0.7500 0.7500 0.2540
As4 0.2500 0.7500 0.5000
Rh4 0.2500 0.7500 0.0000
Pr2 0.2500 0.2500 0.7460
```

# 3
DFT (r2SCAN) results for SmAsPt after structural relaxation.

* DFT formation energy: -4.235 eV per formula unit

```
data_SmAsPt
_chemical_formula_sum 'Sm4 As4 Pt4'
_symmetry_space_group_name_H-M 'P 1'
_symmetry_Int_Tables_number 1
_cell_length_a 4.3002
_cell_length_b 4.3002
_cell_length_c 15.7744
_cell_angle_alpha 90.00
_cell_angle_beta 90.00
_cell_angle_gamma 120.00
loop_
_symmetry_equiv_pos_as_xyz
'x,y,z'
loop_
_atom_site_label
_atom_site_fract_x
_atom_site_fract_y
_atom_site_fract_z
As1 0.6667 0.3333 0.1185
As2 0.3333 0.6667 0.6185
As3 0.6667 0.3333 0.3815
Pt1 0.3333 0.6667 0.1328
Sm1 0.0000 0.0000 0.5000
Pt2 0.6667 0.3333 0.6328
Pt3 0.3333 0.6667 0.3672
Pt4 0.6667 0.3333 0.8672
Sm2 0.0000 0.0000 0.0000
Sm3 0.0000 0.0000 0.2500
Sm4 0.0000 0.0000 0.7500
As4 0.3333 0.6667 0.8815
```

# 4
DFT (r2SCAN) results for SrAsPt after structural relaxation.

* DFT formation energy: -3.467 eV per formula unit

```
data_SrAsPt
_chemical_formula_sum 'Sr2 As2 Pt2'
_symmetry_space_group_name_H-M 'P 1'
_symmetry_Int_Tables_number 1
_cell_length_a 4.2575
_cell_length_b 4.2575
_cell_length_c 9.0635
_cell_angle_alpha 90.00
_cell_angle_beta 90.00
_cell_angle_gamma 120.00
loop_
_symmetry_equiv_pos_as_xyz
'x,y,z'
loop_
_atom_site_label
_atom_site_fract_x
_atom_site_fract_y
_atom_site_fract_z
Pt1 0.6667 0.3333 0.7500
As1 0.3333 0.6667 0.7500
Sr1 0.0000 0.0000 0.5000
As2 0.6667 0.3333 0.2500
Sr2 0.0000 0.0000 0.0000
Pt2 0.3333 0.6667 0.2500
```

# 5
DFT (r2SCAN) results for ZnAsPt5 after structural relaxation.

* DFT formation energy: -2.520 eV per formula unit

```
data_ZnAsPt5
_chemical_formula_sum 'Zn1 As1 Pt5'
_symmetry_space_group_name_H-M 'P 1'
_symmetry_Int_Tables_number 1
_cell_length_a 3.9257
_cell_length_b 3.9257
_cell_length_c 7.1371
_cell_angle_alpha 90.00
_cell_angle_beta 90.00
_cell_angle_gamma 90.00
loop_
_symmetry_equiv_pos_as_xyz
'x,y,z'
loop_
_atom_site_label
_atom_site_fract_x
_atom_site_fract_y
_atom_site_fract_z
Zn1 0.5000 0.5000 0.0000
Pt1 0.0000 0.0000 0.0000
Pt2 0.5000 0.0000 0.2751
As1 0.0000 0.0000 0.5000
Pt3 0.0000 0.5000 0.2751
Pt4 0.0000 0.5000 0.7249
Pt5 0.5000 0.0000 0.7249
```

# 6
DFT (r2SCAN) results for PuAs3 after structural relaxation.

* DFT formation energy: -2.447 eV per formula unit

```
data_PuAs3
_chemical_formula_sum 'Pu1 As3'
_symmetry_space_group_name_H-M 'P 1'
_symmetry_Int_Tables_number 1
_cell_length_a 4.3110
_cell_length_b 4.3110
_cell_length_c 4.3110
_cell_angle_alpha 90.00
_cell_angle_beta 90.00
_cell_angle_gamma 90.00
loop_
_symmetry_equiv_pos_as_xyz
'x,y,z'
loop_
_atom_site_label
_atom_site_fract_x
_atom_site_fract_y
_atom_site_fract_z
As1 0.5000 0.5000 0.0000
Pu1 0.0000 0.0000 0.0000
As2 0.5000 0.0000 0.5000
As3 0.0000 0.5000 0.5000
```

# 7
DFT (r2SCAN) results for RbAs after structural relaxation.

* DFT formation energy: -1.124 eV per formula unit

```
data_RbAs
_chemical_formula_sum 'Rb8 As8'
_symmetry_space_group_name_H-M 'P 1'
_symmetry_Int_Tables_number 1
_cell_length_a 6.6224
_cell_length_b 6.9718
_cell_length_c 12.1536
_cell_angle_alpha 90.00
_cell_angle_beta 90.00
_cell_angle_gamma 90.00
loop_
_symmetry_equiv_pos_as_xyz
'x,y,z'
loop_
_atom_site_label
_atom_site_fract_x
_atom_site_fract_y
_atom_site_fract_z
As1 0.5901 0.9249 0.4690
Rb1 0.4035 0.8889 0.9159
Rb2 0.9035 0.6111 0.0841
As2 0.9099 0.0751 0.9690
Rb3 0.6700 0.1482 0.2151
Rb4 0.3300 0.6482 0.2849
As3 0.3293 0.8185 0.6063
Rb5 0.8300 0.8518 0.7151
As4 0.4099 0.4249 0.0310
Rb6 0.1700 0.3518 0.7849
As5 0.1707 0.1815 0.1063
Rb7 0.0965 0.1111 0.4159
As6 0.0901 0.5751 0.5310
As7 0.6707 0.3185 0.8937
As8 0.8293 0.6815 0.3937
Rb8 0.5965 0.3889 0.5841
```

# 8
DFT (r2SCAN) results for Rb3As11 after structural relaxation.

* DFT formation energy: -4.942 eV per formula unit

```
data_Rb3As11
_chemical_formula_sum 'Rb12 As44'
_symmetry_space_group_name_H-M 'P 1'
_symmetry_Int_Tables_number 1
_cell_length_a 10.8748
_cell_length_b 11.3342
_cell_length_c 15.4434
_cell_angle_alpha 90.00
_cell_angle_beta 90.00
_cell_angle_gamma 90.00
loop_
_symmetry_equiv_pos_as_xyz
'x,y,z'
loop_
_atom_site_label
_atom_site_fract_x
_atom_site_fract_y
_atom_site_fract_z
As1 0.1018 0.0728 0.1348
As2 0.7500 0.5000 0.4672
As3 0.6018 0.4272 0.3652
As4 0.7740 0.8164 0.7580
As5 0.5624 0.6112 0.2853
As6 0.2500 0.5000 0.5328
As7 0.0624 0.6112 0.7147
As8 0.1018 0.4272 0.6348
Rb1 0.7500 0.5000 0.6960
Rb2 0.0945 0.7218 0.0184
As9 0.4922 0.5327 0.1503
As10 0.4922 0.9673 0.6503
Rb3 0.2500 0.0000 0.8040
As11 0.5078 0.0327 0.3497
As12 0.9376 0.3888 0.2853
As13 0.5624 0.8888 0.7853
As14 0.6018 0.0728 0.8652
As15 0.2260 0.1836 0.2420
As16 0.9922 0.9673 0.3497
As17 0.3263 0.5799 0.8786
As18 0.8982 0.5728 0.3652
As19 0.1737 0.0799 0.3786
Rb4 0.7500 0.0000 0.1960
Rb5 0.2500 0.5000 0.3040
As20 0.5078 0.4673 0.8497
As21 0.7260 0.3164 0.2580
As22 0.4376 0.3888 0.7147
As23 0.0078 0.4673 0.1503
As24 0.8982 0.9272 0.8652
As25 0.2740 0.6836 0.7420
Rb6 0.4055 0.2782 0.0184
As26 0.2740 0.8164 0.2420
As27 0.7260 0.1836 0.7580
Rb7 0.0945 0.7782 0.5184
As28 0.4376 0.1112 0.2147
Rb8 0.5945 0.7218 0.9816
As29 0.6737 0.4201 0.1214
As30 0.3982 0.5728 0.6348
As31 0.3263 0.9201 0.3786
As32 0.7740 0.6836 0.2580
Rb9 0.9055 0.2782 0.9816
As33 0.0078 0.0327 0.6503
As34 0.6737 0.0799 0.6214
As35 0.1737 0.4201 0.8786
As36 0.3982 0.9272 0.1348
As37 0.8263 0.5799 0.1214
As38 0.2500 0.0000 0.0328
As39 0.2260 0.3164 0.7420
As40 0.7500 0.0000 0.9672
As41 0.9376 0.1112 0.7853
Rb10 0.5945 0.7782 0.4816
As42 0.8263 0.9201 0.6214
Rb11 0.4055 0.2218 0.5184
As43 0.0624 0.8888 0.2147
Rb12 0.9055 0.2218 0.4816
As44 0.9922 0.5327 0.8497
```